--- A ---
This record from the Materials Project database describes an optimized crystal structure of LiMg14SiO16. The functional is PBE.

```
LiMg14SiO16
1.0
8.512 0.000 0.000
0.000 8.512 0.000
0.000 0.000 4.253
Mg O Si Li
14 16 1 1
direct
0.500 0.246 0.500
0.000 0.758 0.500
0.242 0.000 0.500
0.757 0.243 0.000
0.500 0.000 0.000
0.757 0.757 0.000
0.000 0.242 0.500
0.500 0.754 0.500
0.754 0.500 0.500
0.243 0.757 0.000
0.243 0.243 0.000
0.246 0.500 0.500
0.000 0.500 0.000
0.758 0.000 0.500
0.252 0.748 0.500
0.000 0.500 0.500
0.260 0.000 0.000
0.252 0.252 0.500
0.748 0.748 0.500
0.740 0.000 0.000
0.736 0.500 0.000
0.264 0.500 0.000
0.000 0.000 0.500
0.500 0.736 0.000
0.500 0.264 0.000
0.500 0.500 0.500
0.000 0.740 0.000
0.748 0.252 0.500
0.500 0.000 0.500
0.000 0.260 0.000
0.500 0.500 0.000
0.000 0.000 0.000
```

Space group ... P4/mmm
Total magnetic moment ... 0.0 μB per formula unit
Crystal system ... tetragonal
ρ ... 3.4 g cm⁻³



--- B ---
This record from the Materials Project database describes an optimized crystal structure of LiMg14SiO16. The functional is PBE.

```
LiMg14SiO16
1.0
-1.622 5.415 6.363
-7.089 -4.298 1.850
2.199 -2.478 2.670
Mg O Li Si
14 16 1 1
direct
0.500 0.500 0.000
0.500 0.752 0.500
0.244 0.000 0.500
0.249 0.244 0.000
0.249 0.756 0.000
0.000 0.241 0.500
0.749 0.500 0.500
0.751 0.244 0.000
0.000 0.759 0.500
0.500 0.248 0.500
0.251 0.500 0.500
0.751 0.756 0.000
0.500 0.000 0.000
0.756 0.000 0.500
0.745 0.000 0.000
0.000 0.274 0.000
0.751 0.748 0.500
0.249 0.748 0.500
0.500 0.254 0.000
0.500 0.500 0.500
0.500 0.746 0.000
0.751 0.252 0.500
0.249 0.252 0.500
0.000 0.726 0.000
0.000 0.500 0.500
0.242 0.500 0.000
0.758 0.500 0.000
0.255 0.000 0.000
0.000 0.000 0.500
0.500 0.000 0.500
0.000 0.000 0.000
0.000 0.500 0.000
```

Space group ... Pmmm
Total magnetic moment ... 0.0 μB per formula unit
Crystal system ... orthorhombic
ρ ... 3.4 g cm⁻³



According to the calculations, the structures order from most to least stable as B, A.



--- A ---
This record from the Materials Project database describes an optimized crystal structure of Li2MgTi3O8. The functional is PBE.

```
Li2MgTi3O8
1.0
-0.384 6.553 -5.322
-5.531 -4.219 -4.797
-6.377 3.266 4.481
Li O Ti Mg
8 32 12 4
direct
0.002 0.498 0.502
0.502 0.002 0.498
0.998 0.998 0.998
0.625 0.625 0.625
0.375 0.125 0.875
0.875 0.375 0.125
0.125 0.875 0.375
0.498 0.502 0.002
0.878 0.644 0.641
0.141 0.622 0.356
0.612 0.888 0.112
0.639 0.139 0.361
0.859 0.122 0.144
0.861 0.861 0.861
0.122 0.144 0.859
0.856 0.359 0.378
0.359 0.378 0.856
0.611 0.607 0.372
0.389 0.107 0.128
0.872 0.889 0.393
0.356 0.141 0.622
0.128 0.389 0.107
0.372 0.611 0.607
0.139 0.361 0.639
0.361 0.639 0.139
0.393 0.872 0.889
0.111 0.893 0.628
0.888 0.112 0.612
0.628 0.111 0.893
0.607 0.372 0.611
0.107 0.128 0.389
0.644 0.641 0.878
0.889 0.393 0.872
0.622 0.356 0.141
0.144 0.859 0.122
0.641 0.878 0.644
0.378 0.856 0.359
0.388 0.388 0.388
0.893 0.628 0.111
0.112 0.612 0.888
0.620 0.873 0.866
0.873 0.866 0.620
0.880 0.127 0.366
0.380 0.373 0.634
0.127 0.366 0.880
0.134 0.120 0.627
0.634 0.380 0.373
0.373 0.634 0.380
0.120 0.627 0.134
0.366 0.880 0.127
0.627 0.134 0.120
0.866 0.620 0.873
0.247 0.747 0.753
0.753 0.247 0.747
0.253 0.253 0.253
0.747 0.753 0.247
```

Space group ... P2_13
Total magnetic moment ... 0.0 μB per formula unit
Crystal system ... cubic
ρ ... 3.4 g cm⁻³



--- B ---
This record from the Materials Project database describes an optimized crystal structure of Li2MgTi3O8. The functional is PBE.

```
Li2MgTi3O8
1.0
5.171 -2.990 0.000
5.171 2.990 0.000
3.442 0.000 4.882
O Li Mg Ti
8 2 1 3
direct
0.867 0.867 0.867
0.384 0.384 0.384
0.376 0.833 0.376
0.872 0.872 0.413
0.413 0.872 0.872
0.833 0.376 0.376
0.872 0.413 0.872
0.376 0.376 0.833
0.245 0.245 0.245
0.626 0.626 0.626
0.007 0.007 0.007
0.624 0.131 0.624
0.131 0.624 0.624
0.624 0.624 0.131
```

Space group ... R3m
Total magnetic moment ... 0.0 μB per formula unit
Crystal system ... trigonal
ρ ... 3.4 g cm⁻³



According to the calculations, the structures order from most to least stable as A, B.



--- A ---
This record from the Materials Project database describes an optimized crystal structure of LiMg14Sn. The functional is PBE.

```
LiMg14Sn
1.0
-6.189 -0.619 1.239
2.910 -4.226 -3.688
2.262 -5.782 8.411
Mg Sn Li
14 1 1
direct
0.833 0.166 0.375
0.167 0.333 0.625
0.333 0.667 0.375
0.667 0.333 0.625
0.833 0.667 0.875
0.667 0.334 0.125
0.833 0.166 0.875
0.667 0.833 0.125
0.167 0.833 0.625
0.333 0.166 0.375
0.333 0.166 0.875
0.833 0.667 0.375
0.333 0.667 0.875
0.667 0.834 0.625
0.167 0.334 0.125
0.167 0.833 0.125
```

Space group ... Amm2
Total magnetic moment ... 0.0 μB per formula unit
Crystal system ... orthorhombic
ρ ... 2.1 g cm⁻³



--- B ---
This record from the Materials Project database describes an optimized crystal structure of LiMg14Sn. The functional is PBE.

```
LiMg14Sn
1.0
6.317 0.000 0.000
-3.158 5.471 0.000
0.000 0.000 10.499
Mg Li Sn
14 1 1
direct
0.667 0.334 0.125
0.333 0.167 0.377
0.168 0.834 0.625
0.333 0.167 0.873
0.666 0.332 0.625
0.667 0.833 0.125
0.834 0.167 0.377
0.834 0.167 0.873
0.333 0.666 0.377
0.166 0.833 0.125
0.833 0.667 0.874
0.833 0.667 0.376
0.666 0.834 0.625
0.333 0.666 0.873
0.167 0.333 0.625
0.167 0.333 0.125
```

Space group ... P-6m2
Total magnetic moment ... 0.0 μB per formula unit
Crystal system ... hexagonal
ρ ... 2.1 g cm⁻³



According to the calculations, the structures order from most to least stable as A, B.



--- A ---
This record from the Materials Project database describes an optimized crystal structure of SrLiMg6. The functional is PBE.

```
SrLiMg6
1.0
5.323 0.000 0.000
0.000 6.602 0.000
0.000 0.000 11.956
Mg Sr Li
12 2 2
direct
0.000 0.000 0.842
0.000 0.500 0.342
0.500 0.244 0.922
0.000 0.500 0.828
0.000 0.764 0.076
0.000 0.000 0.328
0.000 0.236 0.076
0.500 0.744 0.422
0.000 0.736 0.576
0.500 0.256 0.422
0.500 0.756 0.922
0.000 0.264 0.576
0.500 0.000 0.671
0.500 0.500 0.171
0.500 0.500 0.663
0.500 0.000 0.163
```

Total magnetic moment ... 0.0 μB per formula unit
ρ ... 1.9 g cm⁻³



--- B ---
This record from the Materials Project database describes an optimized crystal structure of SrLiMg6. The functional is PBE.

```
SrLiMg6
1.0
-3.226 3.263 2.631
0.617 -3.832 5.509
9.318 6.442 3.437
Mg Sr Li
12 2 2
direct
0.500 0.000 0.161
0.500 0.258 0.422
0.000 0.233 0.075
0.000 0.500 0.831
0.000 0.733 0.575
0.000 0.267 0.575
0.500 0.742 0.422
0.500 0.758 0.922
0.000 0.000 0.331
0.000 0.767 0.075
0.500 0.242 0.922
0.500 0.500 0.661
0.500 0.500 0.171
0.500 0.000 0.671
0.000 0.000 0.845
0.000 0.500 0.345
```

Total magnetic moment ... 0.0 μB per formula unit
ρ ... 1.9 g cm⁻³



According to the calculations, the structures order from most to least stable as B, A.



--- A ---
This record from the Materials Project database describes an optimized crystal structure of Li3N. The functional is PBE.

```
Li3N
1.0
-1.825 -3.162 0.000
-1.825 3.162 0.000
0.000 0.000 -3.889
Li N
3 1
direct
0.667 0.333 0.000
0.000 0.000 0.500
0.333 0.667 0.000
0.000 0.000 0.000
```

Space group ... P6/mmm
Crystal system ... hexagonal
ρ ... 1.3 g cm⁻³



--- B ---
This record from the Materials Project database describes an optimized crystal structure of Li3N. The functional is PBE.

```
Li3N
1.0
-3.400 0.707 -0.804
1.600 -2.869 -1.384
-1.896 -3.458 4.976
Li N
6 2
direct
0.333 0.667 0.923
0.667 0.333 0.077
0.333 0.667 0.577
0.000 0.000 0.250
0.667 0.333 0.423
0.000 0.000 0.750
0.667 0.333 0.750
0.333 0.667 0.250
```

Space group ... P6_3/mmc
Crystal system ... hexagonal
ρ ... 1.7 g cm⁻³



According to the calculations, the structures order from most to least stable as A, B.



--- A ---
This record from the Materials Project database describes an optimized crystal structure of NaLi5N2. The functional is PBE.

```
NaLi5N2
1.0
3.648 0.000 0.000
0.000 3.863 0.000
0.000 1.175 7.250
N Li Na
2 5 1
direct
0.500 0.542 0.202
0.000 0.415 0.642
0.000 0.475 0.362
0.500 0.465 0.537
0.000 0.621 0.071
0.000 0.913 0.650
0.500 0.028 0.243
0.500 0.297 0.875
```

Piezoelectric modulus e_max ... 0.77 C/m²
Space group ... Pm
Total magnetic moment ... 0.0 μB per formula unit
Crystal system ... monoclinic
ρ ... 1.4 g cm⁻³



--- B ---
This record from the Materials Project database describes an optimized crystal structure of NaLi5N2. The functional is PBE.

```
NaLi5N2
1.0
-0.614 3.577 -0.920
-1.748 -1.128 -3.217
-5.892 -0.275 2.867
Li N Na
5 2 1
direct
0.000 0.579 0.004
0.000 0.508 0.349
0.500 0.034 0.259
0.000 0.957 0.639
0.500 0.502 0.553
0.000 0.452 0.679
0.500 0.544 0.206
0.500 0.180 0.893
```

Space group ... Pm
Total magnetic moment ... 0.0 μB per formula unit
Crystal system ... monoclinic
ρ ... 1.5 g cm⁻³



--- C ---
This record from the Materials Project database describes an optimized crystal structure of NaLi5N2. The functional is PBE.

```
NaLi5N2
1.0
3.704 0.000 0.000
0.000 3.704 0.000
0.000 0.000 5.232
N Li Na
2 5 1
direct
0.000 0.000 0.500
0.500 0.500 0.000
0.000 0.500 0.757
0.000 0.000 0.000
0.000 0.500 0.243
0.500 0.000 0.757
0.500 0.000 0.243
0.500 0.500 0.500
```

Space group ... P4/mmm
Total magnetic moment ... 0.0 μB per formula unit
Crystal system ... tetragonal
ρ ... 2.0 g cm⁻³



According to the calculations, the structures order from most to least stable as A, B, C.



--- A ---
This record from the Materials Project database describes an optimized crystal structure of LiSNO4. The functional is PBE.

```
LiSNO4
1.0
-4.285 -3.306 0.588
3.632 -3.407 7.313
-4.232 6.399 5.133
N O S Li
4 16 4 4
direct
0.220 0.504 0.783
0.760 0.004 0.296
0.720 0.496 0.217
0.260 0.996 0.704
0.100 0.776 0.958
0.656 0.732 0.729
0.967 0.772 0.540
0.156 0.268 0.271
0.600 0.224 0.042
0.739 0.537 0.557
0.663 0.298 0.791
0.239 0.463 0.443
0.014 0.237 0.940
0.163 0.702 0.209
0.467 0.228 0.460
0.514 0.763 0.060
0.531 0.771 0.485
0.735 0.039 0.870
0.235 0.961 0.130
0.031 0.229 0.515
0.252 0.798 0.090
0.228 0.298 0.424
0.728 0.702 0.576
0.752 0.202 0.910
0.757 0.822 0.912
0.221 0.681 0.416
0.721 0.319 0.584
0.257 0.178 0.088
```

Space group ... P2_1
Total magnetic moment ... 3.9 μB per formula unit
Crystal system ... monoclinic
ρ ... 1.7 g cm⁻³



--- B ---
This record from the Materials Project database describes an optimized crystal structure of LiSNO4. The functional is PBE.

```
LiSNO4
1.0
0.000 0.000 -5.444
0.027 -9.332 0.000
-17.933 0.053 0.000
Li O S N
8 32 8 8
direct
0.767 0.589 0.838
0.230 0.093 0.914
0.733 0.589 0.338
0.267 0.411 0.662
0.270 0.093 0.414
0.730 0.907 0.586
0.233 0.411 0.162
0.770 0.907 0.086
0.226 0.128 0.023
0.765 0.568 0.731
0.158 0.278 0.373
0.735 0.568 0.231
0.521 0.538 0.618
0.525 0.054 0.114
0.479 0.462 0.382
0.025 0.946 0.386
0.774 0.872 0.977
0.658 0.722 0.127
0.274 0.128 0.523
0.047 0.524 0.384
0.547 0.476 0.116
0.314 0.204 0.651
0.265 0.432 0.769
0.109 0.956 0.117
0.891 0.044 0.883
0.186 0.204 0.151
0.609 0.044 0.383
0.021 0.462 0.882
0.953 0.476 0.616
0.814 0.796 0.849
0.975 0.054 0.614
0.453 0.524 0.884
0.979 0.538 0.118
0.342 0.278 0.873
0.475 0.946 0.886
0.726 0.872 0.477
0.391 0.956 0.617
0.686 0.796 0.349
0.842 0.722 0.627
0.235 0.432 0.269
0.265 0.425 0.852
0.261 0.085 0.102
0.235 0.425 0.352
0.735 0.575 0.148
0.739 0.915 0.898
0.765 0.575 0.648
0.239 0.085 0.602
0.761 0.915 0.398
0.731 0.218 0.248
0.231 0.782 0.252
0.247 0.705 0.504
0.753 0.295 0.496
0.747 0.295 0.996
0.269 0.782 0.752
0.253 0.705 0.004
0.769 0.218 0.748
```

Space group ... P2_1/c
Total magnetic moment ... 2.0 μB per formula unit
Crystal system ... monoclinic
ρ ... 1.7 g cm⁻³



According to the calculations, the structures order from most to least stable as B, A.